A plane-wave DFT calculation with r2SCAN was carried out for an optimized crystal structure of ZrPt3.

Cell: 4.025 4.025 4.025 Å, 90.00 90.00 90.00°
Space group Pm-3m (No. 221)
Inequivalent atoms, fractional coordinates:
1 Zr 0.000 0.000 0.000 [1 per cell]
2 Pt 0.000 0.500 0.500 [3 per cell]

The value obtained for the density is 17.2 g cm⁻³. As for the energy of formation from the pure elements: -4.49 eV/f.u. The value obtained for the spin magnetization is 0.00 μB/f.u. The total energy is -45.4254 eV/atom.


A plane-wave DFT calculation with r2SCAN was carried out for an optimized crystal structure of ZrPt3.

Cell: 5.6932 5.6932 9.3000 Å, 90.00 90.00 120.00°
Space group P6_3/mmc (No. 194)
Inequivalent atoms, fractional coordinates:
1 Zr 0.0000 0.0000 0.0000 [2 per cell]
2 Zr 0.3333 0.6667 0.2500 [2 per cell]
3 Pt 0.0000 0.5000 0.0000 [6 per cell]
4 Pt 0.1701 0.3403 0.7500 [6 per cell]

The value obtained for the density is 17.2 g cm⁻³. As for the energy of formation from the pure elements: -4.56 eV/f.u. The value obtained for the spin magnetization is 0.00 μB/f.u. The total energy is -45.4422 eV/atom.


A plane-wave DFT calculation with r2SCAN was carried out for an optimized crystal structure of Pu.

Cell: 6.2237 6.2237 5.2145 Å, 90.00 90.00 120.00°
Space group P6_3/m (No. 176)
Inequivalent atoms, fractional coordinates:
1 Pu 0.0735 0.7291 0.2500 [6 per cell]
2 Pu 0.3333 0.6667 0.7500 [2 per cell]

The value obtained for the density is 18.5 g cm⁻³. As for the energy of formation from the pure elements: 0.00 eV/f.u. The value obtained for the spin magnetization is 2.30 μB/f.u. The total energy is -86.3563 eV/atom. For the excess energy over the best structure of this formula in the dataset, the calculation gives 0.000 eV per atom.


A plane-wave DFT calculation with r2SCAN was carried out for an optimized crystal structure of Pu.

Cell: 4.260 9.788 3.611 Å, 90.00 90.00 90.00°
Space group Cmce (No. 64)
Inequivalent atoms, fractional coordinates:
1 Pu 0.000 0.116 0.103 [8 per cell]

The value obtained for the density is 21.5 g cm⁻³. As for the energy of formation from the pure elements: 0.59 eV/f.u. The value obtained for the spin magnetization is 0.77 μB/f.u. The total energy is -85.7691 eV/atom. For the excess energy over the best structure of this formula in the dataset, the calculation gives 0.587 eV per atom.


A plane-wave DFT calculation with r2SCAN was carried out for an optimized crystal structure of Pu.

Cell: 3.602 5.583 6.919 Å, 90.00 90.00 90.00°
Space group Fddd (No. 70, origin choice 2)
Inequivalent atoms, fractional coordinates:
1 Pu 0.125 0.125 0.125 [8 per cell]

The value obtained for the density is 23.3 g cm⁻³. As for the energy of formation from the pure elements: 0.47 eV/f.u. The value obtained for the spin magnetization is 0.38 μB/f.u. The total energy is -85.8863 eV/atom. For the excess energy over the best structure of this formula in the dataset, the calculation gives 0.470 eV per atom.


A plane-wave DFT calculation with r2SCAN was carried out for an optimized crystal structure of PuRh3.

Cell: 4.021 4.021 4.021 Å, 90.00 90.00 90.00°
Space group Pm-3m (No. 221)
Inequivalent atoms, fractional coordinates:
1 Pu 0.000 0.000 0.000 [1 per cell]
2 Rh 0.000 0.500 0.500 [3 per cell]

The value obtained for the density is 14.1 g cm⁻³. As for the energy of formation from the pure elements: -2.31 eV/f.u. The value obtained for the spin magnetization is 3.63 μB/f.u. The total energy is -40.2687 eV/atom.